Computed, not measured: a geometry-optimized ThCu2P2 structure at the PBE level of DFT.

Structure (CIF):
```
data_ThCu2P2
_symmetry_space_group_name_H-M 'P 1'
_symmetry_Int_Tables_number 1
_cell_length_a 4.0177
_cell_length_b 4.0177
_cell_length_c 6.4861
_cell_angle_alpha 90.00
_cell_angle_beta 90.00
_cell_angle_gamma 120.00
loop_
_symmetry_equiv_pos_as_xyz
'x,y,z'
loop_
_atom_site_label
_atom_site_fract_x
_atom_site_fract_y
_atom_site_fract_z
Th1 0.0000 0.0000 0.0000
Cu1 0.6667 0.3333 0.6377
Cu2 0.3333 0.6667 0.3623
P1 0.6667 0.3333 0.2675
P2 0.3333 0.6667 0.7325
```

Space group: P-3m1, No. 164
Total DFT energy (no corrections), eV for the cell shown: -30.30
Formation enthalpy at 0 K, kcal/mol of atoms: -17.80